Computed, not measured: Ho2MgGe2 after structural relaxation at the GGA-PBE level of DFT.

a = 7.2626 Å, b = 7.2626 Å, c = 4.2570 Å
α = 90.00°, β = 90.00°, γ = 90.00°
Element x y z (fractional)
Ho 0.1773 0.3227 0.0000
Ho 0.3227 0.8227 0.0000
Ho 0.6773 0.1773 0.0000
Ho 0.8227 0.6773 0.0000
Mg 0.0000 0.0000 0.5000
Mg 0.5000 0.5000 0.5000
Ge 0.1241 0.6241 0.5000
Ge 0.3759 0.1241 0.5000
Ge 0.6241 0.8759 0.5000
Ge 0.8759 0.3759 0.5000

Values from the calculation:
* space group: No. 127

---

Computed, not measured: Ho2Mg3Ge4 after structural relaxation at the GGA-PBE level of DFT.

a = 6.9875 Å, b = 14.2821 Å, c = 7.6408 Å
α = 90.00°, β = 90.00°, γ = 90.00°
Element x y z (fractional)
Ho 0.0043 0.0946 0.1841
Ho 0.0043 0.4054 0.1841
Ho 0.4957 0.5946 0.6841
Ho 0.4957 0.9054 0.6841
Ho 0.5043 0.0946 0.3159
Ho 0.5043 0.4054 0.3159
Ho 0.9957 0.5946 0.8159
Ho 0.9957 0.9054 0.8159
Mg 0.1586 0.7500 0.5062
Mg 0.1713 0.1234 0.6751
Mg 0.1713 0.3766 0.6751
Mg 0.3287 0.6234 0.1751
Mg 0.3287 0.8766 0.1751
Mg 0.3414 0.2500 0.0062
Mg 0.6586 0.7500 0.9938
Mg 0.6713 0.1234 0.8249
Mg 0.6713 0.3766 0.8249
Mg 0.8287 0.6234 0.3249
Mg 0.8287 0.8766 0.3249
Mg 0.8414 0.2500 0.4938
Ge 0.0300 0.7500 0.1068
Ge 0.1696 0.5373 0.4642
Ge 0.1696 0.9627 0.4642
Ge 0.2125 0.2500 0.3632
Ge 0.2875 0.7500 0.8632
Ge 0.3304 0.0373 0.9642
Ge 0.3304 0.4627 0.9642
Ge 0.4700 0.2500 0.6068
Ge 0.5300 0.7500 0.3932
Ge 0.6696 0.5373 0.0358
Ge 0.6696 0.9627 0.0358
Ge 0.7125 0.2500 0.1368
Ge 0.7875 0.7500 0.6368
Ge 0.8304 0.0373 0.5358
Ge 0.8304 0.4627 0.5358
Ge 0.9700 0.2500 0.8932

Values from the calculation:
* space group: No. 62

---

Computed formation energy from the elements, in the same sequence as the records: -0.77; -0.52 eV per atom.